1.
Material: V3B100
Method: DFT, PBE
State: relaxed

Lattice parameters (Å, degrees): 4.988 8.862 17.732 90.00 90.00 90.00
Fractional positions:
V1 0.500 0.500 0.250
V2 0.500 0.500 0.750
V3 0.000 0.000 0.000
B1 0.413 0.415 0.132
B2 0.415 0.415 0.633
B3 0.415 0.585 0.367
B4 0.413 0.585 0.868
B5 0.089 0.920 0.385
B6 0.087 0.915 0.882
B7 0.087 0.085 0.118
B8 0.089 0.080 0.615
B9 0.587 0.585 0.132
B10 0.585 0.585 0.633
B11 0.585 0.415 0.367
B12 0.587 0.415 0.868
B13 0.911 0.080 0.385
B14 0.913 0.085 0.882
B15 0.913 0.915 0.118
B16 0.911 0.920 0.615
B17 0.588 0.735 0.207
B18 0.583 0.734 0.708
B19 0.583 0.266 0.292
B20 0.588 0.265 0.793
B21 0.910 0.230 0.460
B22 0.913 0.235 0.957
B23 0.913 0.765 0.043
B24 0.910 0.770 0.540
B25 0.412 0.265 0.207
B26 0.417 0.266 0.708
B27 0.417 0.734 0.292
B28 0.412 0.735 0.793
B29 0.090 0.770 0.460
B30 0.087 0.765 0.957
B31 0.087 0.235 0.043
B32 0.090 0.230 0.540
B33 0.124 0.374 0.187
B34 0.128 0.373 0.687
B35 0.128 0.627 0.313
B36 0.124 0.626 0.813
B37 0.391 0.871 0.435
B38 0.375 0.874 0.937
B39 0.375 0.126 0.063
B40 0.391 0.129 0.565
B41 0.876 0.626 0.187
B42 0.872 0.627 0.687
B43 0.872 0.373 0.313
B44 0.876 0.374 0.813
B45 0.609 0.129 0.435
B46 0.625 0.126 0.937
B47 0.625 0.874 0.063
B48 0.609 0.871 0.565
B49 0.000 0.500 0.250
B50 0.000 0.500 0.750
B51 0.500 0.000 0.000
B52 0.500 0.000 0.500
B53 0.094 0.416 0.087
B54 0.097 0.414 0.587
B55 0.097 0.586 0.413
B56 0.094 0.584 0.913
B57 0.406 0.915 0.336
B58 0.405 0.916 0.837
B59 0.405 0.084 0.163
B60 0.406 0.085 0.664
B61 0.906 0.584 0.087
B62 0.903 0.586 0.587
B63 0.903 0.414 0.413
B64 0.906 0.416 0.913
B65 0.594 0.085 0.336
B66 0.595 0.084 0.837
B67 0.595 0.916 0.163
B68 0.594 0.915 0.664
B69 0.908 0.826 0.208
B70 0.901 0.827 0.707
B71 0.901 0.173 0.293
B72 0.908 0.174 0.792
B73 0.595 0.328 0.457
B74 0.595 0.326 0.958
B75 0.595 0.674 0.042
B76 0.595 0.672 0.543
B77 0.092 0.174 0.208
B78 0.099 0.173 0.707
B79 0.099 0.827 0.293
B80 0.092 0.826 0.792
B81 0.405 0.672 0.457
B82 0.405 0.674 0.958
B83 0.405 0.326 0.042
B84 0.405 0.328 0.543
B85 0.917 0.257 0.128
B86 0.926 0.254 0.627
B87 0.926 0.746 0.373
B88 0.917 0.743 0.872
B89 0.585 0.757 0.379
B90 0.582 0.757 0.879
B91 0.582 0.243 0.121
B92 0.585 0.243 0.621
B93 0.083 0.743 0.128
B94 0.074 0.746 0.627
B95 0.074 0.254 0.373
B96 0.083 0.257 0.872
B97 0.415 0.243 0.379
B98 0.418 0.243 0.879
B99 0.418 0.757 0.121
B100 0.415 0.757 0.621

Computed properties:
V = 784 Å³/cell
Magnetization = 0.0 μB/f.u.
DFT formation energy = -0.73 kcal/mol of atoms
Space group = P222

***

2.
Material: V3B2
Method: DFT, PBE
State: relaxed

Lattice parameters (Å, degrees): 5.730 5.730 3.018 90.00 90.00 90.00
Fractional positions:
V1 0.000 0.000 0.000
V2 0.500 0.500 0.000
V3 0.322 0.822 0.500
V4 0.822 0.678 0.500
V5 0.178 0.322 0.500
V6 0.678 0.178 0.500
B1 0.111 0.611 0.000
B2 0.611 0.889 0.000
B3 0.389 0.111 0.000
B4 0.889 0.389 0.000

Computed properties:
V = 99 Å³/cell
DFT formation energy = -16.67 kcal/mol of atoms
Space group = P4/mbm

***

3.
Material: YVB4
Method: DFT, PBE
State: relaxed

Lattice parameters (Å, degrees): 3.453 6.009 11.640 90.00 90.00 90.00
Fractional positions:
Y1 0.000 0.624 0.348
Y2 0.000 0.376 0.652
Y3 0.000 0.124 0.152
Y4 0.000 0.876 0.848
V1 0.000 0.627 0.083
V2 0.000 0.373 0.917
V3 0.000 0.127 0.417
V4 0.000 0.873 0.583
B1 0.500 0.786 0.185
B2 0.500 0.214 0.815
B3 0.500 0.286 0.315
B4 0.500 0.714 0.685
B5 0.500 0.864 0.033
B6 0.500 0.136 0.967
B7 0.500 0.364 0.467
B8 0.500 0.636 0.533
B9 0.500 0.886 0.453
B10 0.500 0.114 0.547
B11 0.500 0.386 0.047
B12 0.500 0.614 0.953
B13 0.500 0.978 0.308
B14 0.500 0.022 0.692
B15 0.500 0.478 0.192
B16 0.500 0.522 0.808

Computed properties:
V = 242 Å³/cell
Magnetization = 0.0 μB/f.u.
DFT formation energy = -16.21 kcal/mol of atoms
Space group = Pbam

***

4.
Material: B2W
Method: DFT, PBE
State: relaxed

Lattice parameters (Å, degrees): 3.019 3.019 14.089 90.00 90.00 120.00
Fractional positions:
B1 0.000 0.000 0.250
B2 0.000 0.000 0.750
B3 0.333 0.667 0.750
B4 0.667 0.333 0.250
B5 0.333 0.667 0.523
B6 0.667 0.333 0.477
B7 0.667 0.333 0.023
B8 0.333 0.667 0.977
W1 0.333 0.667 0.365
W2 0.667 0.333 0.635
W3 0.667 0.333 0.865
W4 0.333 0.667 0.135

Computed properties:
V = 111 Å³/cell
DFT formation energy = -7.68 kcal/mol of atoms
Space group = P6_3/mmc

***

5.
Material: BW
Method: DFT, PBE
State: relaxed

Lattice parameters (Å, degrees): 8.807 8.807 8.807 159.43 159.43 29.26
Fractional positions:
B1 0.906 0.406 0.500
B2 0.156 0.156 0.000
B3 0.844 0.844 0.000
B4 0.594 0.094 0.500
W1 0.053 0.553 0.500
W2 0.303 0.303 0.000
W3 0.697 0.697 0.000
W4 0.447 0.947 0.500

Computed properties:
E above lowest polymorph = 0.0 meV per atom
V = 84 Å³/cell
DFT formation energy = -8.48 kcal/mol of atoms
Space group = I4_1/amd

***

6.
Material: B4W
Method: DFT, PBE
State: relaxed

Lattice parameters (Å, degrees): 3.906 6.976 6.976 90.00 90.00 90.00
Fractional positions:
B1 0.800 0.500 0.500
B2 0.800 0.000 0.000
B3 0.200 0.500 0.500
B4 0.200 0.000 0.000
B5 0.500 0.912 0.412
B6 0.500 0.088 0.588
B7 0.500 0.588 0.912
B8 0.500 0.412 0.088
B9 0.500 0.524 0.682
B10 0.500 0.476 0.318
B11 0.500 0.976 0.182
B12 0.500 0.024 0.818
B13 0.500 0.682 0.476
B14 0.500 0.318 0.524
B15 0.500 0.182 0.024
B16 0.500 0.818 0.976
W1 0.000 0.380 0.880
W2 0.000 0.620 0.120
W3 0.000 0.120 0.380
W4 0.000 0.880 0.620

Computed properties:
E above lowest polymorph = 100.1 meV per atom
V = 190 Å³/cell
Magnetization = 0.1 μB/f.u.
DFT formation energy = 11.56 kcal/mol of atoms
Space group = P4/mbm

***

7.
Material: BW
Method: DFT, PBE
State: relaxed

Lattice parameters (Å, degrees): 3.110 3.183 4.551 69.53 90.00 90.00
Fractional positions:
B1 0.750 0.561 0.879
B2 0.250 0.439 0.121
W1 0.750 0.855 0.289
W2 0.250 0.145 0.711

Computed properties:
E above lowest polymorph = 11.5 meV per atom
V = 42 Å³/cell
DFT formation energy = -8.21 kcal/mol of atoms
Space group = Cmcm

***

8.
Material: B2W
Method: DFT, PBE
State: relaxed

Lattice parameters (Å, degrees): 3.022 3.022 3.382 90.00 90.00 120.00
Fractional positions:
B1 0.667 0.333 0.500
B2 0.333 0.667 0.500
W1 0.000 0.000 0.000

Computed properties:
V = 27 Å³/cell
Magnetization = 0.0 μB/f.u.
DFT formation energy = -1.74 kcal/mol of atoms
Space group = P6/mmm